#P
Here is a geometry-optimized Li3V3CrO8 structure from the Materials Project. Energies are from PBE with a Hubbard U.

**Crystal system**: monoclinic

a = 12.350 Å, b = 4.096 Å, c = 6.514 Å
α = 90.00°, β = 106.75°, γ = 90.00°
Space group Cm (No. 8)
Symmetry-distinct sites (fractional):
Li 0.000 0.000 0.000
Li 0.119 0.000 0.726
Li 0.242 0.000 0.370
V 0.168 0.500 0.067
V 0.353 0.000 0.059
V 0.456 0.000 0.651
Cr 0.280 0.500 0.679
O 0.008 0.500 0.997
O 0.127 0.500 0.733
O 0.179 0.000 0.054
O 0.214 0.500 0.354
O 0.293 0.000 0.699
O 0.327 0.500 0.006
O 0.403 0.000 0.355
O 0.442 0.500 0.684



#Q
Here is a geometry-optimized Li3V3CrO8 structure from the Materials Project. Energies are from PBE with a Hubbard U.

**Crystal system**: triclinic

a = 5.217 Å, b = 5.973 Å, c = 10.708 Å
α = 73.81°, β = 75.97°, γ = 73.11°
Space group P1 (No. 1)
Symmetry-distinct sites (fractional):
Li 0.000 0.000 0.000
Li 0.000 0.244 0.503
Li 0.002 0.375 0.751
Li 0.004 0.852 0.753
Li 0.008 0.113 0.247
Li 0.996 0.617 0.253
V 0.481 0.435 0.378
V 0.494 0.669 0.883
V 0.499 0.924 0.379
V 0.504 0.298 0.124
V 0.515 0.047 0.620
V 0.524 0.796 0.122
Cr 0.494 0.179 0.874
Cr 0.502 0.550 0.627
O 0.267 0.263 0.314
O 0.283 0.011 0.808
O 0.283 0.373 0.570
O 0.283 0.647 0.054
O 0.284 0.776 0.302
O 0.285 0.518 0.809
O 0.286 0.891 0.571
O 0.293 0.130 0.061
O 0.710 0.711 0.702
O 0.711 0.587 0.440
O 0.717 0.338 0.933
O 0.717 0.458 0.196
O 0.718 0.092 0.449
O 0.720 0.846 0.932
O 0.725 0.211 0.687
O 0.739 0.965 0.190



What should be chosen as the most stable of them? Choose #Q.



#P
Here is a geometry-optimized Li4V3CrO8 structure from the Materials Project. Energies are from PBE with a Hubbard U.

**Crystal system**: trigonal

a = 5.9918 Å, b = 5.9918 Å, c = 14.5958 Å
α = 90.00°, β = 90.00°, γ = 120.00°
Space group R-3m (No. 166, hexagonal axes)
Symmetry-distinct sites (fractional):
Li 0.0000 0.0000 0.0000
Li 0.0000 0.5000 0.0000
V 0.0000 0.5000 0.5000
Cr 0.0000 0.0000 0.5000
O 0.0000 0.0000 0.2424
O 0.0030 0.5015 0.2423



#Q
Here is a geometry-optimized Li4V3CrO8 structure from the Materials Project. Energies are from PBE with a Hubbard U.

**Crystal system**: triclinic

a = 5.185 Å, b = 5.947 Å, c = 5.948 Å
α = 60.01°, β = 89.99°, γ = 73.34°
Space group P-1 (No. 2)
Symmetry-distinct sites (fractional):
Li 0.000 0.000 0.245
Li 0.001 0.496 0.752
V 0.500 0.000 0.500
V 0.500 0.500 0.000
V 0.500 0.500 0.500
Cr 0.500 0.000 0.000
O 0.269 0.240 0.129
O 0.270 0.244 0.631
O 0.270 0.746 0.126
O 0.273 0.742 0.629



What should be chosen as the most stable of them? Choose #Q.